[1]
First-principles (r2SCAN) data for a relaxed structure of Ba3Sn2, as listed in the Materials Project.

Geometry as CIF:
```
data_Ba3Sn2
_cell_length_a 6.706
_cell_length_b 6.706
_cell_length_c 18.058
_cell_angle_alpha 90.00
_cell_angle_beta 90.00
_cell_angle_gamma 90.00
_symmetry_space_group_name_H-M 'P 43 21 2'
_symmetry_Int_Tables_number 96
loop_
_symmetry_equiv_pos_as_xyz
'x,y,z'
'-y+1/2,x+1/2,z+3/4'
'-x,-y,z+1/2'
'y+1/2,-x+1/2,z+1/4'
'x+1/2,-y+1/2,-z+1/4'
'-y,-x,-z+1/2'
'-x+1/2,y+1/2,-z+3/4'
'y,x,-z'
loop_
_atom_site_label
_atom_site_type_symbol
_atom_site_fract_x
_atom_site_fract_y
_atom_site_fract_z
Ba1 Ba 0.084 0.343 0.386
Ba2 Ba 0.175 0.175 0.000
Sn1 Sn 0.086 0.171 0.797
```

M_tot	0.00	μB/cell
energy	-132.68	eV/f.u.
energy of formation	-0.74	eV/atom



[2]
First-principles (r2SCAN) data for a relaxed structure of BaZnSn, as listed in the Materials Project.

Geometry as CIF:
```
data_BaZnSn
_cell_length_a 4.7002
_cell_length_b 4.7002
_cell_length_c 9.9942
_cell_angle_alpha 90.00
_cell_angle_beta 90.00
_cell_angle_gamma 120.00
_symmetry_space_group_name_H-M 'P 63/m m c'
_symmetry_Int_Tables_number 194
_symmetry_space_group_name_Hall '-P 6c 2c'
loop_
_atom_site_label
_atom_site_type_symbol
_atom_site_fract_x
_atom_site_fract_y
_atom_site_fract_z
Ba1 Ba 0.0000 0.0000 0.0000
Zn1 Zn 0.3333 0.6667 0.2500
Sn1 Sn 0.3333 0.6667 0.7500
```

M_tot	0.00	μB/cell
energy	-61.95	eV/f.u.
energy of formation	-0.60	eV/atom



[3]
First-principles (r2SCAN) data for a relaxed structure of BaSr3, as listed in the Materials Project.

Geometry as CIF:
```
data_BaSr3
_cell_length_a 9.750
_cell_length_b 9.750
_cell_length_c 9.750
_cell_angle_alpha 90.00
_cell_angle_beta 90.00
_cell_angle_gamma 90.00
_symmetry_space_group_name_H-M 'F m -3 m'
_symmetry_Int_Tables_number 225
_symmetry_space_group_name_Hall '-F 4 2 3'
loop_
_atom_site_label
_atom_site_type_symbol
_atom_site_fract_x
_atom_site_fract_y
_atom_site_fract_z
Ba1 Ba 0.000 0.000 0.000
Sr1 Sr 0.000 0.000 0.500
Sr2 Sr 0.250 0.250 0.250
```

ΔE to the lowest computed polymorph	59	meV per atom
M_tot	2.59	μB/cell
energy	-71.70	eV/f.u.
energy of formation	0.06	eV/atom



[4]
First-principles (r2SCAN) data for a relaxed structure of BaSr3, as listed in the Materials Project.

Geometry as CIF:
```
data_BaSr3
_cell_length_a 6.213
_cell_length_b 6.213
_cell_length_c 12.309
_cell_angle_alpha 90.00
_cell_angle_beta 90.00
_cell_angle_gamma 90.00
_symmetry_space_group_name_H-M 'I 4/m m m'
_symmetry_Int_Tables_number 139
_symmetry_space_group_name_Hall '-I 4 2'
loop_
_atom_site_label
_atom_site_type_symbol
_atom_site_fract_x
_atom_site_fract_y
_atom_site_fract_z
Ba1 Ba 0.000 0.000 0.000
Sr1 Sr 0.000 0.000 0.500
Sr2 Sr 0.000 0.500 0.250
```

ΔE to the lowest computed polymorph	66	meV per atom
M_tot	0.01	μB/cell
energy	-71.67	eV/f.u.
energy of formation	0.07	eV/atom



[5]
First-principles (r2SCAN) data for a relaxed structure of BaSr3, as listed in the Materials Project.

Geometry as CIF:
```
data_BaSr3
_cell_length_a 8.7606
_cell_length_b 8.7606
_cell_length_c 7.1188
_cell_angle_alpha 90.00
_cell_angle_beta 90.00
_cell_angle_gamma 120.00
_symmetry_space_group_name_H-M 'P 63/m m c'
_symmetry_Int_Tables_number 194
_symmetry_space_group_name_Hall '-P 6c 2c'
loop_
_atom_site_label
_atom_site_type_symbol
_atom_site_fract_x
_atom_site_fract_y
_atom_site_fract_z
Ba1 Ba 0.3333 0.6667 0.2500
Sr1 Sr 0.1650 0.3301 0.7500
```

ΔE to the lowest computed polymorph	0	meV per atom
M_tot	0.14	μB/cell
energy	-71.93	eV/f.u.
energy of formation	0.00	eV/atom



[6]
First-principles (r2SCAN) data for a relaxed structure of BaSrTl2, as listed in the Materials Project.

Geometry as CIF:
```
data_BaSrTl2
_cell_length_a 8.371
_cell_length_b 8.371
_cell_length_c 8.371
_cell_angle_alpha 90.00
_cell_angle_beta 90.00
_cell_angle_gamma 90.00
_symmetry_space_group_name_H-M 'F m -3 m'
_symmetry_Int_Tables_number 225
_symmetry_space_group_name_Hall '-F 4 2 3'
loop_
_atom_site_label
_atom_site_type_symbol
_atom_site_fract_x
_atom_site_fract_y
_atom_site_fract_z
Ba1 Ba 0.000 0.000 0.000
Sr1 Sr 0.000 0.000 0.500
Tl1 Tl 0.250 0.250 0.250
```

M_tot	0.00	μB/cell
energy	-149.88	eV/f.u.
energy of formation	-0.47	eV/atom



[7]
First-principles (r2SCAN) data for a relaxed structure of BaSrYb2, as listed in the Materials Project.

Geometry as CIF:
```
data_BaSrYb2
_cell_length_a 8.658
_cell_length_b 8.658
_cell_length_c 8.658
_cell_angle_alpha 90.00
_cell_angle_beta 90.00
_cell_angle_gamma 90.00
_symmetry_space_group_name_H-M 'F m -3 m'
_symmetry_Int_Tables_number 225
_symmetry_space_group_name_Hall '-F 4 2 3'
loop_
_atom_site_label
_atom_site_type_symbol
_atom_site_fract_x
_atom_site_fract_y
_atom_site_fract_z
Ba1 Ba 0.000 0.000 0.000
Sr1 Sr 0.000 0.000 0.500
Yb1 Yb 0.250 0.250 0.250
```

M_tot	3.74	μB/cell
energy	-113.00	eV/f.u.
energy of formation	0.43	eV/atom



[8]
First-principles (r2SCAN) data for a relaxed structure of BaTb2Te4, as listed in the Materials Project.

Geometry as CIF:
```
data_BaTb2Te4
_cell_length_a 13.825
_cell_length_b 4.500
_cell_length_c 16.323
_cell_angle_alpha 90.00
_cell_angle_beta 90.00
_cell_angle_gamma 90.00
_symmetry_space_group_name_H-M 'P n m a'
_symmetry_Int_Tables_number 62
loop_
_symmetry_equiv_pos_as_xyz
'x,y,z'
'-x,-y,-z'
'-x+1/2,-y,z+1/2'
'x+1/2,y,-z+1/2'
'x+1/2,-y+1/2,-z+1/2'
'-x+1/2,y+1/2,z+1/2'
'-x,y+1/2,-z'
'x,-y+1/2,z'
loop_
_atom_site_label
_atom_site_type_symbol
_atom_site_fract_x
_atom_site_fract_y
_atom_site_fract_z
Ba1 Ba 0.239 0.250 0.169
Tb1 Tb 0.060 0.250 0.390
Tb2 Tb 0.081 0.250 0.903
Te1 Te 0.027 0.750 0.784
Te2 Te 0.090 0.250 0.576
Te3 Te 0.127 0.750 0.028
Te4 Te 0.205 0.750 0.339
```

M_tot	0.00	μB/cell
energy	-203.42	eV/f.u.
energy of formation	-1.83	eV/atom



[9]
First-principles (r2SCAN) data for a relaxed structure of BaTe, as listed in the Materials Project.

Geometry as CIF:
```
data_BaTe
_cell_length_a 7.090
_cell_length_b 7.090
_cell_length_c 7.090
_cell_angle_alpha 90.00
_cell_angle_beta 90.00
_cell_angle_gamma 90.00
_symmetry_space_group_name_H-M 'F m -3 m'
_symmetry_Int_Tables_number 225
_symmetry_space_group_name_Hall '-F 4 2 3'
loop_
_atom_site_label
_atom_site_type_symbol
_atom_site_fract_x
_atom_site_fract_y
_atom_site_fract_z
Ba1 Ba 0.000 0.000 0.000
Te1 Te 0.000 0.000 0.500
```

M_tot	0.00	μB/cell
energy	-56.03	eV/f.u.
energy of formation	-2.06	eV/atom



[10]
First-principles (r2SCAN) data for a relaxed structure of BaThTe4, as listed in the Materials Project.

Geometry as CIF:
```
data_BaThTe4
_cell_length_a 16.357
_cell_length_b 6.513
_cell_length_c 10.560
_cell_angle_alpha 90.00
_cell_angle_beta 129.14
_cell_angle_gamma 90.00
_symmetry_space_group_name_H-M 'C 1 2/m 1'
_symmetry_Int_Tables_number 12
loop_
_symmetry_equiv_pos_as_xyz
'x,y,z'
'-x,-y,-z'
'-x,y,-z'
'x,-y,z'
'x+1/2,y+1/2,z'
'-x+1/2,-y+1/2,-z'
'-x+1/2,y+1/2,-z'
'x+1/2,-y+1/2,z'
loop_
_atom_site_label
_atom_site_type_symbol
_atom_site_fract_x
_atom_site_fract_y
_atom_site_fract_z
Ba1 Ba 0.099 0.000 0.304
Th1 Th 0.142 0.500 0.781
Te1 Te 0.100 0.000 0.652
Te2 Te 0.111 0.500 0.447
Te3 Te 0.143 0.250 0.045
```

M_tot	0.00	μB/cell
energy	-210.43	eV/f.u.
energy of formation	-1.46	eV/atom